[1]
A plane-wave DFT calculation with GGA-PBE was carried out for a relaxed structure of KMg14SbO16.

## Properties
excess energy over the best structure of this formula in the dataset = 1.0 kJ per mole of atoms
raw total energy = -182.173 eV per cell
ΔH_f (0 K) = -2699 meV per atom
V = 10.7 Å³ per atom

a b c (Å): 4.4531 8.7288 8.8251
angles (deg): 90.00 90.00 90.00
Closest atoms and distances in Å follow each position.
Space group Pmmm (No. 47)
One atom of each set of equivalent atoms:
K: 0.0000 0.0000 0.0000 (multiplicity 1)  6 O 2.23-2.41
Mg: 0.0000 0.2587 0.2423 (multiplicity 4)  6 O 2.11-2.28
Mg: 0.0000 0.5000 0.0000 (multiplicity 1)  2 O 1.95
Mg: 0.0000 0.5000 0.5000 (multiplicity 1)  6 O 2.05-2.23
Mg: 0.5000 0.0000 0.2360 (multiplicity 2)  6 O 2.08-2.33
Mg: 0.5000 0.2532 0.0000 (multiplicity 2)  6 O 2.15-2.24
Mg: 0.5000 0.2614 0.5000 (multiplicity 2)  6 O 2.08-2.28
Mg: 0.5000 0.5000 0.2470 (multiplicity 2)  6 O 2.18-2.23
Sb: 0.0000 0.0000 0.5000 (multiplicity 1)  6 O 2.12-2.32
O: 0.0000 0.0000 0.2597 (multiplicity 2)  1 Sb 2.12, 4 Mg 2.24-2.26, 1 K 2.29
O: 0.0000 0.2654 0.5000 (multiplicity 2)  5 Mg 2.05-2.28
O: 0.0000 0.2761 0.0000 (multiplicity 2)  3 Mg 1.95-2.14
O: 0.0000 0.5000 0.2543 (multiplicity 2)  6 Mg 2.11-2.24
O: 0.5000 0.0000 0.0000 (multiplicity 1)  4 Mg 2.08-2.21, 2 K 2.23
O: 0.5000 0.0000 0.5000 (multiplicity 1)  2 Sb 2.23, 4 Mg 2.28-2.33
O: 0.5000 0.2497 0.2515 (multiplicity 4)  6 Mg 2.18-2.23
O: 0.5000 0.5000 0.0000 (multiplicity 1)  6 Mg 2.15-2.23
O: 0.5000 0.5000 0.5000 (multiplicity 1)  6 Mg 2.08-2.23

=====

[2]
A plane-wave DFT calculation with GGA-PBE was carried out for a relaxed structure of K2MgSe2O14.

## Properties
raw total energy = -165.364 eV per cell
ΔH_f (0 K) = -643 meV per atom
V = 16.1 Å³ per atom

a b c (Å): 6.1092 12.0495 8.5293
angles (deg): 90.00 102.94 90.00
Closest atoms and distances in Å follow each position.
Space group P2_1/c (No. 14)
One atom of each set of equivalent atoms:
K: 0.1600 0.1580 0.3602 (multiplicity 4)  6 O 2.74-2.87
Mg: 0.5000 0.0000 0.0000 (multiplicity 2)  6 O 2.03-2.19
Se: 0.2498 0.6498 0.9066 (multiplicity 4)  4 O 1.66-1.71
O: 0.0835 0.7437 0.4236 (multiplicity 4)  1 Se 1.66
O: 0.1087 0.5646 0.7569 (multiplicity 4)  1 Se 1.71
O: 0.1557 0.5367 0.5193 (multiplicity 4)  2 O 2.06-2.14, 1 Mg 2.19
O: 0.2930 0.5687 0.0700 (multiplicity 4)  1 Se 1.67
O: 0.3317 0.1243 0.8627 (multiplicity 4)  1 Mg 2.03
O: 0.4482 0.1264 0.1537 (multiplicity 4)  1 Mg 2.08, 1 O 2.23
O: 0.4968 0.6917 0.8661 (multiplicity 4)  1 Se 1.70

=====

[3]
A plane-wave DFT calculation with GGA-PBE was carried out for a relaxed structure of K3Mg4Si4O14.

## Properties
raw total energy = -164.131 eV per cell
ΔH_f (0 K) = -2922 meV per atom
V = 12.1 Å³ per atom

a b c (Å): 5.1239 13.2797 5.1250
angles (deg): 90.00 119.98 90.00
Closest atoms and distances in Å follow each position.
Space group Pm (No. 6)
One atom of each set of equivalent atoms:
K: 0.0000 0.0000 0.0000 (multiplicity 1)  9 O 2.74-2.98, 3 K 2.94-2.97
K: 0.0033 0.5000 0.0145 (multiplicity 1)  9 O 2.76-3.01
K: 0.6694 0.0000 0.3310 (multiplicity 1)  9 O 2.74-2.98, 3 K 2.94-2.97
Mg: 0.0100 0.2493 0.0083 (multiplicity 2)  6 O 2.11-2.14
Mg: 0.6756 0.2568 0.3411 (multiplicity 2)  6 O 2.09-2.20
Si: 0.3403 0.1293 0.6708 (multiplicity 2)  4 O 1.64-1.72
Si: 0.3414 0.3739 0.6762 (multiplicity 2)  4 O 1.64-1.67
O: 0.0287 0.1590 0.6710 (multiplicity 2)  1 Si 1.65
O: 0.0378 0.3377 0.3662 (multiplicity 2)  1 Si 1.65
O: 0.3363 0.3382 0.9804 (multiplicity 2)  1 Si 1.64
O: 0.3402 0.0000 0.6721 (multiplicity 1)  2 Si 1.72
O: 0.3415 0.1587 0.3606 (multiplicity 2)  1 Si 1.64
O: 0.3443 0.5000 0.6763 (multiplicity 1)  2 Si 1.67
O: 0.6511 0.1594 0.9824 (multiplicity 2)  1 Si 1.64
O: 0.6514 0.3376 0.6813 (multiplicity 2)  1 Si 1.65

=====

[4]
A plane-wave DFT calculation with GGA-PBE was carried out for a relaxed structure of KMg6SiO8.

## Properties
excess energy over the best structure of this formula in the dataset = 5.3 kJ per mole of atoms
raw total energy = -89.328 eV per cell
ΔH_f (0 K) = -2444 meV per atom
V = 10.7 Å³ per atom

a b c (Å): 4.4355 4.4355 8.6881
angles (deg): 90.00 90.00 90.00
Closest atoms and distances in Å follow each position.
Space group P4/mmm (No. 123)
One atom of each set of equivalent atoms:
K: 0.0000 0.0000 0.0000 (multiplicity 1)  6 O 2.22-2.40
Mg: 0.0000 0.0000 0.5000 (multiplicity 1)  2 O 1.94
Mg: 0.0000 0.5000 0.2533 (multiplicity 4)  6 O 2.14-2.23
Mg: 0.5000 0.5000 0.5000 (multiplicity 1)  6 O 2.22-2.31
Si: 0.5000 0.5000 0.0000 (multiplicity 1)  6 O 2.04-2.22
O: 0.0000 0.0000 0.2762 (multiplicity 2)  1 Mg 1.94
O: 0.0000 0.5000 0.0000 (multiplicity 2)  2 Mg 2.20, 2 Si 2.22, 2 K 2.22
O: 0.0000 0.5000 0.5000 (multiplicity 2)  6 Mg 2.14-2.22
O: 0.5000 0.5000 0.2347 (multiplicity 2)  1 Si 2.04, 4 Mg 2.22

=====

[5]
A plane-wave DFT calculation with GGA-PBE was carried out for a relaxed structure of K2MgSiO4.

## Properties
raw total energy = -388.964 eV per cell
ΔH_f (0 K) = -2791 meV per atom
V = 15.2 Å³ per atom

a b c (Å): 11.1131 5.5382 15.7821
angles (deg): 90.00 90.00 90.00
Closest atoms and distances in Å follow each position.
Space group Pca2_1 (No. 29)
One atom of each set of equivalent atoms:
K: 0.0082 0.0064 0.1231 (multiplicity 4)  4 O 2.71-2.89
K: 0.0099 0.5046 0.5000 (multiplicity 4)  4 O 2.68-2.78
K: 0.2351 0.5514 0.8758 (multiplicity 4)  7 O 2.83-3.14
K: 0.2395 0.0431 0.7454 (multiplicity 4)  6 O 2.79-3.06
Mg: 0.0096 0.5083 0.2506 (multiplicity 4)  4 O 1.96-1.97
Mg: 0.2392 0.0315 0.9982 (multiplicity 4)  4 O 1.96-1.97
Si: 0.0077 0.0091 0.3729 (multiplicity 4)  4 O 1.66
Si: 0.2352 0.5266 0.6263 (multiplicity 4)  4 O 1.65-1.66
O: 0.0122 0.2789 0.8486 (multiplicity 4)  1 Si 1.66
O: 0.0212 0.8248 0.7879 (multiplicity 4)  1 Si 1.66
O: 0.0849 0.9186 0.9511 (multiplicity 4)  1 Si 1.66
O: 0.1054 0.4131 0.6597 (multiplicity 4)  1 Si 1.66
O: 0.1479 0.0609 0.4036 (multiplicity 4)  1 Si 1.66
O: 0.1736 0.5563 0.2083 (multiplicity 4)  1 Si 1.65
O: 0.2073 0.3403 0.0549 (multiplicity 4)  1 Si 1.66
O: 0.2094 0.7932 0.5827 (multiplicity 4)  1 Si 1.65

=====

[6]
A plane-wave DFT calculation with GGA-PBE was carried out for a relaxed structure of KMg6SiO8.

## Properties
excess energy over the best structure of this formula in the dataset = 0.0 kJ per mole of atoms
raw total energy = -90.205 eV per cell
ΔH_f (0 K) = -2499 meV per atom
V = 10.9 Å³ per atom

a b c (Å): 4.5516 4.5516 8.3826
angles (deg): 90.00 90.00 90.00
Closest atoms and distances in Å follow each position.
Space group P4/mmm (No. 123)
One atom of each set of equivalent atoms:
K: 0.0000 0.0000 0.0000 (multiplicity 1)  6 O 2.28-2.45
Mg: 0.0000 0.5000 0.2465 (multiplicity 4)  6 O 2.07-2.31
Mg: 0.5000 0.5000 0.0000 (multiplicity 1)  6 O 2.11-2.28
Mg: 0.5000 0.5000 0.5000 (multiplicity 1)  6 O 2.08-2.28
Si: 0.0000 0.0000 0.5000 (multiplicity 1)  2 O 1.74
O: 0.0000 0.0000 0.2924 (multiplicity 2)  1 Si 1.74
O: 0.0000 0.5000 0.0000 (multiplicity 2)  4 Mg 2.07-2.28, 2 K 2.28
O: 0.0000 0.5000 0.5000 (multiplicity 2)  4 Mg 2.13-2.28, 2 Si 2.28
O: 0.5000 0.5000 0.2522 (multiplicity 2)  6 Mg 2.08-2.28

=====

[7]
A plane-wave DFT calculation with GGA-PBE was carried out for a relaxed structure of K2Mg3Zn2Si12O30.

## Properties
raw total energy = -1416.190 eV per cell
ΔH_f (0 K) = -3093 meV per atom
V = 13.6 Å³ per atom

a b c (Å): 17.9544 10.3655 14.3631
angles (deg): 90.00 90.00 90.00
Closest atoms and distances in Å follow each position.
Space group C2 (No. 5)
One atom of each set of equivalent atoms:
K: 0.0000 0.0000 0.0000 (multiplicity 2)  12 O 3.05-3.06
K: 0.0000 0.9999 0.5000 (multiplicity 2)  12 O 3.05-3.06
K: 0.1667 0.5000 0.2500 (multiplicity 4)  3 O 2.65
Mg: 0.1665 0.5002 0.5044 (multiplicity 4)  6 O 2.10-2.19
Mg: 0.1667 0.5000 0.9959 (multiplicity 4)  6 O 2.10-2.17
Mg: 0.2499 0.2499 0.5000 (multiplicity 4)  4 O 1.96-1.99
Zn: 0.0000 0.4994 0.0000 (multiplicity 2)  4 O 1.97-2.01
Zn: 0.0000 0.4995 0.5000 (multiplicity 2)  4 O 1.97-2.01
Zn: 0.2503 0.2503 0.0000 (multiplicity 4)  4 O 1.97-2.01
Si: 0.0548 0.7095 0.1378 (multiplicity 4)  4 O 1.62-1.64
Si: 0.0549 0.7097 0.3622 (multiplicity 4)  4 O 1.62-1.65
Si: 0.0558 0.2931 0.6387 (multiplicity 4)  4 O 1.61-1.65
Si: 0.0557 0.2933 0.8613 (multiplicity 4)  4 O 1.61-1.65
Si: 0.1178 0.2275 0.1378 (multiplicity 4)  4 O 1.62-1.64
Si: 0.1178 0.2282 0.3621 (multiplicity 4)  4 O 1.61-1.64
Si: 0.1188 0.7690 0.6386 (multiplicity 4)  4 O 1.60-1.65
Si: 0.1188 0.7698 0.8613 (multiplicity 4)  4 O 1.61-1.65
Si: 0.1730 0.0625 0.6378 (multiplicity 4)  4 O 1.61-1.64
Si: 0.1727 0.0630 0.8622 (multiplicity 4)  4 O 1.62-1.64
Si: 0.1745 0.9370 0.1386 (multiplicity 4)  4 O 1.61-1.65
Si: 0.1749 0.9374 0.3614 (multiplicity 4)  4 O 1.60-1.65
O: 0.0293 0.2448 0.1129 (multiplicity 4)  2 Si 1.64-1.65
O: 0.0292 0.2446 0.3870 (multiplicity 4)  2 Si 1.64-1.65
O: 0.0300 0.7554 0.8876 (multiplicity 4)  2 Si 1.64-1.65
O: 0.0298 0.7556 0.6125 (multiplicity 4)  2 Si 1.64-1.65
O: 0.0616 0.3201 0.7501 (multiplicity 4)  2 Si 1.63
O: 0.0622 0.6806 0.2499 (multiplicity 4)  2 Si 1.64-1.65
O: 0.0773 0.4178 0.5777 (multiplicity 4)  1 Si 1.61
O: 0.0773 0.4180 0.9223 (multiplicity 4)  1 Si 1.61
O: 0.0781 0.5816 0.0806 (multiplicity 4)  1 Si 1.62
O: 0.0781 0.5817 0.4193 (multiplicity 4)  1 Si 1.62
O: 0.1073 0.1673 0.8876 (multiplicity 4)  2 Si 1.64-1.65
O: 0.1078 0.1676 0.6122 (multiplicity 4)  2 Si 1.64-1.65
O: 0.1082 0.8334 0.3872 (multiplicity 4)  2 Si 1.64-1.65
O: 0.1077 0.8336 0.1129 (multiplicity 4)  2 Si 1.64-1.65
O: 0.1286 0.2532 0.2499 (multiplicity 4)  2 Si 1.64
O: 0.1292 0.7475 0.7502 (multiplicity 4)  2 Si 1.62-1.63
O: 0.1373 0.0774 0.1123 (multiplicity 4)  2 Si 1.64-1.65
O: 0.1374 0.9211 0.6128 (multiplicity 4)  2 Si 1.64-1.65
O: 0.1370 0.9216 0.8871 (multiplicity 4)  2 Si 1.64-1.65
O: 0.1376 0.0779 0.3878 (multiplicity 4)  2 Si 1.64-1.65
O: 0.1702 0.3264 0.0806 (multiplicity 4)  1 Si 1.62
O: 0.1703 0.6750 0.9224 (multiplicity 4)  1 Si 1.61
O: 0.1705 0.3253 0.4197 (multiplicity 4)  1 Si 1.61
O: 0.1706 0.6762 0.5772 (multiplicity 4)  1 Si 1.60
O: 0.1908 0.0663 0.7501 (multiplicity 4)  2 Si 1.64
O: 0.1908 0.9325 0.2499 (multiplicity 4)  2 Si 1.62-1.63
O: 0.2473 0.9061 0.4228 (multiplicity 4)  1 Si 1.60
O: 0.2483 0.0921 0.9194 (multiplicity 4)  1 Si 1.62
O: 0.2479 0.0932 0.5803 (multiplicity 4)  1 Si 1.61
O: 0.2476 0.9070 0.0777 (multiplicity 4)  1 Si 1.61

=====

[8]
A plane-wave DFT calculation with GGA-PBE was carried out for a relaxed structure of KMg30TiO32.

## Properties
excess energy over the best structure of this formula in the dataset = 0.7 kJ per mole of atoms
raw total energy = -383.624 eV per cell
ΔH_f (0 K) = -2973 meV per atom
V = 9.9 Å³ per atom

a b c (Å): 8.5932 8.5932 8.6062
angles (deg): 90.00 90.00 90.00
Closest atoms and distances in Å follow each position.
Space group P4/mmm (No. 123)
One atom of each set of equivalent atoms:
K: 0.0000 0.0000 0.0000 (multiplicity 1)  6 O 2.35-2.36
Mg: 0.0000 0.0000 0.5000 (multiplicity 1)  2 O 1.95
Mg: 0.0000 0.2504 0.2518 (multiplicity 8)  6 O 2.14-2.18
Mg: 0.0000 0.5000 0.0000 (multiplicity 2)  2 O 1.94
Mg: 0.0000 0.5000 0.5000 (multiplicity 2)  6 O 2.10-2.17
Mg: 0.2474 0.5000 0.2526 (multiplicity 8)  6 O 2.13-2.18
Mg: 0.2476 0.2476 0.0000 (multiplicity 4)  6 O 2.14-2.17
Mg: 0.2489 0.2489 0.5000 (multiplicity 4)  6 O 2.14-2.16
Mg: 0.5000 0.5000 0.5000 (multiplicity 1)  6 O 2.13-2.17
Ti: 0.5000 0.5000 0.0000 (multiplicity 1)  6 O 2.07-2.14
O: 0.0000 0.0000 0.2736 (multiplicity 2)  5 Mg 1.95-2.16
O: 0.0000 0.2550 0.5000 (multiplicity 4)  6 Mg 2.10-2.19
O: 0.0000 0.2746 0.0000 (multiplicity 4)  3 Mg 1.94-2.14
O: 0.0000 0.5000 0.2532 (multiplicity 4)  6 Mg 2.12-2.18
O: 0.2506 0.2506 0.2489 (multiplicity 8)  6 Mg 2.14-2.16
O: 0.2522 0.5000 0.5000 (multiplicity 4)  6 Mg 2.13-2.17
O: 0.2596 0.5000 0.0000 (multiplicity 4)  1 Ti 2.07, 5 Mg 2.17-2.23
O: 0.5000 0.5000 0.2484 (multiplicity 2)  1 Ti 2.14, 5 Mg 2.17

=====

[9]
A plane-wave DFT calculation with GGA-PBE was carried out for a relaxed structure of KMg14TiO16.

## Properties
excess energy over the best structure of this formula in the dataset = 1.0 kJ per mole of atoms
raw total energy = -191.491 eV per cell
ΔH_f (0 K) = -2872 meV per atom
V = 10.2 Å³ per atom

a b c (Å): 8.6459 8.6459 4.3746
angles (deg): 90.00 90.00 90.00
Closest atoms and distances in Å follow each position.
Space group P4/mmm (No. 123)
One atom of each set of equivalent atoms:
K: 0.0000 0.0000 0.0000 (multiplicity 1)  6 O 2.19-2.38
Mg: 0.0000 0.2494 0.5000 (multiplicity 4)  6 O 2.16-2.20
Mg: 0.0000 0.5000 0.0000 (multiplicity 2)  2 O 1.94
Mg: 0.2447 0.5000 0.5000 (multiplicity 4)  6 O 2.12-2.21
Mg: 0.2461 0.2461 0.0000 (multiplicity 4)  6 O 2.14-2.20
Ti: 0.5000 0.5000 0.0000 (multiplicity 1)  6 O 2.07-2.19
O: 0.0000 0.0000 0.5000 (multiplicity 1)  4 Mg 2.16, 2 K 2.19
O: 0.0000 0.2758 0.0000 (multiplicity 4)  3 Mg 1.94-2.14
O: 0.0000 0.5000 0.5000 (multiplicity 2)  6 Mg 2.12-2.19
O: 0.2518 0.2518 0.5000 (multiplicity 4)  6 Mg 2.15-2.19
O: 0.2607 0.5000 0.0000 (multiplicity 4)  1 Ti 2.07, 5 Mg 2.19-2.25
O: 0.5000 0.5000 0.5000 (multiplicity 1)  2 Ti 2.19, 4 Mg 2.21

=====

Question: The highest raw total energy belongs to which entry?
Answer: number 4

=====

Question: Among the records above, which one has the highest ΔH_f (0 K)?
Answer: K2MgSe2O14

=====

Question: Which value of raw total energy does entry 9 give?
Answer: -191.491 eV per cell